1.
Below is a geometry-optimized Nb2P4H3O16 structure, with properties calculated at the PBE level.

## Properties
Its space group is P1.

abc: 5.122 7.539 8.224
angles: 90.96 91.83 103.53
Element x y z (fractional)
Nb  0.000  0.000  0.000
Nb  0.499  0.495  0.505
P  0.111  0.761  0.352
P  0.392  0.742  0.839
P  0.609  0.255  0.164
P  0.884  0.227  0.647
H  0.101  0.548  0.945
H  0.447  0.977  0.488
H  0.897  0.446  0.053
O  0.041  0.809  0.177
O  0.152  0.340  0.570
O  0.168  0.844  0.832
O  0.246  0.935  0.452
O  0.289  0.555  0.929
O  0.304  0.629  0.346
O  0.362  0.147  0.064
O  0.478  0.690  0.672
O  0.520  0.308  0.331
O  0.639  0.850  0.938
O  0.703  0.372  0.656
O  0.713  0.444  0.075
O  0.742  0.062  0.549
O  0.833  0.154  0.170
O  0.851  0.657  0.435
O  0.958  0.190  0.826

***

2.
Below is a geometry-optimized Li3Th structure, with properties calculated at the PBE level.

## Properties
Its space group is Fm-3m.

abc: 5.055 5.055 5.055
angles: 60.00 60.00 60.00
Element x y z (fractional)
Li  0.000  0.000  0.000
Li  0.250  0.250  0.250
Li  0.750  0.750  0.750
Th  0.500  0.500  0.500

***

no.,total moment (μB per formula unit),ΔH_f (0 K) (eV per formula unit),total energy (eV/atom)
1,1.00,-61.38,-7.2635
2,0.03,1.66,-2.8690